# 1
The following is a DFT calculation (PBE with a Hubbard U) of LiNiPO4 after structural relaxation.

## Properties
MP2020-corrected energy	-6.963	eV per atom
formation energy from the elements	-2.2636	eV per atom
polymorph energy (0 for the lowest one)	9.8	kJ/mol of atoms
volume	11.44	A^3/atom

POSCAR file:
```
LiNiPO4
1.0
8.538 0.000 0.000
0.000 7.419 0.000
-8.111 0.000 15.169
Li Ni P O
12 12 12 48
Cartesian
-2.072 0.470 3.896 Li
-6.128 3.240 11.481 Li
1.979 3.867 1.018 Li
-2.077 7.262 8.603 Li
-1.695 3.919 8.884 Li
2.361 7.210 1.299 Li
-1.935 0.209 13.871 Li
2.121 3.500 6.286 Li
2.503 0.157 6.566 Li
-1.552 3.552 14.151 Li
6.554 4.179 3.688 Li
2.499 6.949 11.273 Li
-3.399 5.047 6.385 Ni
-7.455 6.082 13.970 Ni
0.868 5.088 3.609 Ni
-3.188 6.040 11.194 Ni
-0.272 1.402 6.147 Ni
-4.327 2.308 13.732 Ni
4.754 5.111 1.437 Ni
0.698 6.017 9.022 Ni
3.614 1.379 3.975 Ni
-0.441 2.330 11.560 Ni
7.881 1.337 1.200 Ni
3.825 2.372 8.785 Ni
-7.227 1.778 13.989 P
-3.171 1.932 6.404 P
-3.312 1.685 11.118 P
0.743 2.025 3.533 P
-4.421 5.454 13.742 P
-0.365 5.675 6.157 P
0.792 1.744 9.012 P
4.848 1.965 1.427 P
-0.317 5.394 11.636 P
3.739 5.734 4.052 P
3.597 5.487 8.765 P
7.653 5.641 1.180 P
-4.860 5.483 10.319 O
-0.805 5.646 2.735 O
0.526 5.288 0.608 O
-3.530 5.840 8.192 O
-6.768 0.398 14.552 O
-2.712 3.311 6.967 O
-5.820 5.417 13.066 O
-1.764 5.712 5.481 O
-2.084 0.930 6.888 O
-6.140 2.779 14.473 O
-4.678 1.775 11.863 O
-0.623 1.934 4.278 O
0.840 0.861 2.504 O
-3.216 2.848 10.089 O
-3.215 0.377 10.282 O
0.841 3.332 2.697 O
0.494 4.551 5.493 O
-3.562 6.578 13.078 O
-0.553 5.393 7.674 O
3.503 5.735 0.090 O
-3.629 4.134 13.499 O
0.427 6.994 5.915 O
-1.426 5.431 10.536 O
2.630 5.698 2.951 O
-2.203 1.721 12.218 O
1.852 1.988 4.633 O
0.000 0.425 9.255 O
4.055 3.285 1.670 O
-3.076 1.684 15.080 O
0.979 2.026 7.495 O
3.988 0.841 2.091 O
-0.068 2.868 9.676 O
-0.415 4.087 12.472 O
3.641 7.042 4.887 O
3.642 4.571 5.081 O
-0.413 6.558 12.665 O
1.049 5.485 10.892 O
5.105 5.644 3.307 O
6.566 4.640 0.697 O
2.511 6.489 8.281 O
2.190 1.707 9.689 O
6.246 2.002 2.104 O
3.138 4.108 8.202 O
7.194 7.021 0.617 O
3.956 1.579 6.977 O
-0.100 2.131 14.562 O
1.231 1.773 12.435 O
5.287 1.936 4.850 O
```

# 2
The following is a DFT calculation (PBE with a Hubbard U) of Li5Ni6P8O28 after structural relaxation.

## Properties
MP2020-corrected energy	-7.162	eV per atom
formation energy from the elements	-2.3517	eV per atom
volume	10.83	A^3/atom

POSCAR file:
```
Li5Ni6P8O28
1.0
6.335 0.000 0.000
-0.401 8.394 0.000
-0.080 -3.083 9.574
Li Ni P O
5 6 8 28
Cartesian
0.000 0.000 0.000 Li
2.180 6.325 3.605 Li
2.843 0.063 8.532 Li
3.011 5.247 1.042 Li
3.675 -1.015 5.969 Li
-0.040 -1.542 4.787 Ni
0.628 3.826 4.202 Ni
0.906 2.490 8.224 Ni
3.168 0.000 0.000 Ni
4.948 2.820 1.350 Ni
5.226 1.485 5.372 Ni
-0.160 5.692 1.719 P
1.041 5.710 7.264 P
1.831 2.111 1.824 P
2.049 0.977 4.632 P
3.805 4.333 4.942 P
4.023 3.199 7.750 P
4.813 -0.400 2.310 P
6.014 -0.382 7.855 P
0.162 -1.916 7.959 O
0.329 5.605 3.195 O
0.532 2.818 2.296 O
0.603 5.369 5.831 O
0.887 1.907 5.079 O
0.893 0.497 8.125 O
0.977 5.562 0.720 O
1.122 4.489 8.193 O
1.548 0.963 0.882 O
1.669 -0.507 4.536 O
2.518 1.495 3.178 O
2.614 -1.728 7.362 O
2.584 4.249 4.040 O
2.883 3.088 1.254 O
2.972 2.222 8.320 O
3.271 1.062 5.534 O
3.240 7.039 2.212 O
3.336 3.815 6.396 O
4.186 5.817 5.038 O
4.306 4.347 8.691 O
4.732 0.821 1.381 O
4.877 -0.251 8.854 O
4.961 4.813 1.448 O
4.967 3.403 4.495 O
5.251 -0.059 3.743 O
5.322 2.492 7.278 O
5.525 -0.295 6.379 O
5.692 7.226 1.615 O
```

# 3
The following is a DFT calculation (PBE with a Hubbard U) of LiNiPO4 after structural relaxation.

## Properties
MP2020-corrected energy	-7.055	eV per atom
formation energy from the elements	-2.3561	eV per atom
polymorph energy (0 for the lowest one)	0.9	kJ/mol of atoms
volume	9.89	A^3/atom

POSCAR file:
```
LiNiPO4
1.0
0.000 -2.713 -4.119
0.000 -8.140 4.119
-6.194 0.000 0.000
Li Ni P O
4 4 4 16
Cartesian
-4.646 -4.141 0.652 Li
-4.646 -9.568 0.652 Li
-1.549 -1.428 -0.652 Li
-1.549 -6.855 -0.652 Li
0.000 -6.860 2.059 Ni
-3.098 -6.860 2.059 Ni
-6.194 -4.147 -2.060 Ni
-3.097 -4.147 -2.060 Ni
-4.646 -1.434 -0.821 P
-4.646 -6.861 -0.821 P
-1.549 -4.147 0.821 P
-1.549 -9.574 0.821 P
-5.912 -1.433 0.039 O
-5.912 -6.860 0.039 O
-3.379 -1.433 0.039 O
-3.379 -6.860 0.039 O
-2.815 -4.147 -0.039 O
-2.815 -9.573 -0.039 O
-0.282 -4.147 -0.039 O
-0.282 -9.573 -0.039 O
-4.646 -5.609 -1.793 O
-4.646 -8.323 2.325 O
-4.646 -2.688 -1.790 O
-4.646 -5.401 2.328 O
-1.549 -5.609 -2.325 O
-1.549 -8.323 1.793 O
-1.549 -2.688 -2.328 O
-1.549 -5.401 1.790 O
```

no.,total magnetization (Bohr magnetons per cell)
1,24.00
2,11.00
3,0.00